Computed, not measured: an optimized crystal structure of Ag6Ge2O7 at the GGA-PBE level of DFT.

```
Ag6Ge2O7
1.0
-4.3181 2.2796 8.9683
-4.9197 -1.6033 -1.9612
2.8111 -15.2229 5.2229
Ag Ge O
24 8 28
Cartesian
-5.7122 -13.2131 12.0621
-2.7452 -0.2616 4.3853
-2.3997 -7.5513 0.8943
-1.9647 -8.0841 7.0525
-5.5422 -7.9478 9.1250
-1.6669 -6.1859 4.7297
0.7270 -13.0508 3.7726
-5.0729 -2.5943 4.1356
-4.7595 -3.1133 10.1162
-3.8186 -10.2977 6.5819
-3.6085 -5.5815 8.7991
-3.1136 -8.8092 4.0444
-4.3906 -0.6751 0.8662
-1.9633 -13.9100 11.2124
0.0287 -13.6074 6.8879
-6.8332 -0.7398 6.1267
-1.3828 -11.5664 8.2386
-2.9970 -4.0608 -0.2599
-2.8704 -3.7008 5.8472
-1.7503 -11.7993 2.6316
-2.9961 -8.6125 10.0946
-3.8970 -5.6879 3.1040
-4.4074 -1.5782 7.5414
-2.4221 -12.7559 5.5250
-4.8936 -7.0748 6.0453
0.0393 -8.3019 2.9189
-0.2552 -10.3680 5.4464
-6.1918 -4.1680 6.8254
-1.9704 -2.9600 2.8912
-1.2126 -1.3005 0.3037
-3.4688 -14.1675 8.3013
-4.5907 -11.5158 9.6177
-4.5268 -3.7752 7.3883
-1.8169 -10.8153 4.6692
-7.3528 -3.9974 8.1779
-0.5462 -9.7720 7.1096
-6.7151 -3.1796 5.4620
0.9071 -11.6938 5.4827
0.4640 -8.9936 4.5428
-6.2421 -5.8955 6.3398
-1.5040 -8.9780 2.3061
-3.3195 -6.4150 6.5939
-2.9782 -6.5047 10.7711
-4.8090 -7.3237 4.2843
0.0080 -6.5574 3.1568
-5.3796 -8.5463 6.8817
-4.0012 -12.2428 11.1664
-3.3622 -1.8094 3.0087
-3.3610 -10.4171 8.9466
-2.4692 -4.4444 2.0445
-6.1730 -10.7646 9.8103
-1.2389 -3.2620 4.4656
-4.7372 -12.8766 8.4155
-0.7264 -2.1786 1.8141
-4.3234 0.5430 8.0173
-3.2300 -14.4949 6.5527
-1.9432 -13.6051 9.0114
1.7119 -14.7872 5.8073
-6.8890 -0.4191 3.8273
-2.8262 -1.8165 -0.2236
```

Output
Volume   15.39 Å³/atom
Energy of formation   -1.02 eV/atom
Crystal system   monoclinic
Symmetry   P2_1